[1]
## BaMg6Al (PBE-GGA)

Data for a geometry-optimized BaMg6Al structure.

Output
Polymorph energy (0 for the lowest one) ... 0.000 eV per atom
ΔE_f ... 0.062 eV per atom

Structure (POSCAR):
```
BaMg6Al
1.0
0.639 7.714 0.496
-2.177 -4.723 -5.754
-4.723 0.292 1.547
Ba Mg Al
1 6 1
Cartesian
-3.708 -0.911 -3.138 Ba
-2.583 1.719 -0.198 Mg
-3.319 3.150 -2.715 Mg
-0.581 -0.148 -1.745 Mg
-1.359 1.364 -4.405 Mg
-0.190 4.052 -1.344 Mg
-1.828 -3.185 -4.981 Mg
-2.030 6.504 0.588 Al
```

[2]
## Mg2Mn3NiS8 (PBE-GGA)

Data for a geometry-optimized Mg2Mn3NiS8 structure.

Output
ΔE_f ... -0.978 eV per atom
Energy with MP2020 corrections ... -5.946 eV/atom

Structure (POSCAR):
```
Mg2Mn3NiS8
1.0
-7.092 0.753 -0.986
-3.690 -4.984 -3.660
-4.610 -4.337 3.441
Mg Mn Ni S
2 3 1 8
Cartesian
-13.495 -7.512 -1.056 Mg
-1.897 -1.056 -0.149 Mg
-10.001 -6.453 1.118 Mn
-11.241 -3.907 -1.096 Mn
-9.542 -6.777 -2.432 Mn
-7.696 -4.284 -0.603 Ni
-11.371 -6.330 -0.890 S
-6.120 -4.190 1.198 S
-5.714 -4.475 -1.934 S
-7.216 -1.943 -0.756 S
-9.677 -4.093 0.730 S
-8.175 -6.625 -0.449 S
-4.020 -2.238 -0.315 S
-9.271 -4.378 -2.403 S
```

[3]
## NbCr2 (PBE-GGA)

Data for a geometry-optimized NbCr2 structure.

Output
ΔE_f ... -0.020 eV per atom

Structure (POSCAR):
```
NbCr2
1.0
2.462 -4.264 0.000
2.462 4.264 0.000
0.000 0.000 16.085
Nb Cr
8 16
Cartesian
0.000 0.000 6.520 Nb
0.000 0.000 9.565 Nb
0.000 0.000 14.563 Nb
0.000 0.000 1.522 Nb
2.462 1.421 10.559 Nb
2.462 -1.421 5.526 Nb
2.462 -1.421 2.517 Nb
2.462 1.421 13.569 Nb
2.462 1.421 6.055 Cr
2.462 -1.421 10.030 Cr
2.462 -1.421 14.098 Cr
2.462 1.421 1.987 Cr
2.462 0.000 8.043 Cr
1.231 -2.132 8.043 Cr
1.231 2.132 8.043 Cr
2.462 0.000 0.000 Cr
1.231 -2.132 0.000 Cr
1.231 2.132 0.000 Cr
2.462 2.867 4.021 Cr
1.210 0.699 4.021 Cr
3.713 0.699 4.021 Cr
2.462 -2.867 12.064 Cr
3.713 -0.699 12.064 Cr
1.210 -0.699 12.064 Cr
```